# Sr2MgZn2Sn2P4O16

A relaxed Sr2MgZn2Sn2P4O16 crystal (PBE, Materials Project).

Results
- magnetization (μB/f.u.) = 0.0
- ρ (g/cm³) = 3.99
- total energy (eV/atom) = -6.47
- E_form (eV/atom) = -2.5672

a b c (Å): 5.8190 7.3574 9.8713
angles (deg): 106.01 100.96 94.88
Last column: nearest neighbours and their distance in Å.
Space group P1 (No. 1)
One atom of each set of equivalent atoms:
Sr 0.0000 0.0000 0.0000 (multiplicity 1)  7 O 2.55-2.81
Sr 0.4551 0.4957 0.0425 (multiplicity 1)  7 O 2.52-2.78
Mg 0.9451 0.3957 0.2552 (multiplicity 1)  5 O 1.96-2.19
Zn 0.3021 0.8696 0.4115 (multiplicity 1)  4 O 1.96-2.14
Zn 0.3653 0.3198 0.6361 (multiplicity 1)  3 O 2.00-2.11
Sn 0.0119 0.5159 0.6475 (multiplicity 1)  2 O 2.26-2.27
Sn 0.7929 0.8618 0.6041 (multiplicity 1)  3 O 2.29-2.55
P 0.3925 0.9682 0.7784 (multiplicity 1)  4 O 1.52-1.59
P 0.4302 0.4154 0.3457 (multiplicity 1)  4 O 1.53-1.62
P 0.7688 0.9300 0.2554 (multiplicity 1)  4 O 1.54-1.58
P 0.8631 0.3749 0.8868 (multiplicity 1)  4 O 1.54-1.58
O 0.0617 0.5335 0.8843 (multiplicity 1)  1 P 1.58
O 0.1553 0.8284 0.7567 (multiplicity 1)  1 P 1.59
O 0.2634 0.2886 0.2020 (multiplicity 1)  1 P 1.55
O 0.2668 0.5777 0.3961 (multiplicity 1)  1 P 1.62
O 0.3645 0.0322 0.6350 (multiplicity 1)  1 P 1.59
O 0.4053 0.1273 0.9163 (multiplicity 1)  1 P 1.52
O 0.4920 0.3123 0.4602 (multiplicity 1)  1 P 1.53
O 0.5166 0.8900 0.2843 (multiplicity 1)  1 P 1.57
O 0.6026 0.8520 0.7855 (multiplicity 1)  1 P 1.55
O 0.6231 0.4242 0.8191 (multiplicity 1)  1 P 1.55
O 0.6545 0.5039 0.3101 (multiplicity 1)  1 P 1.55
O 0.7719 0.7864 0.1083 (multiplicity 1)  1 P 1.55
O 0.8271 0.1320 0.2426 (multiplicity 1)  1 P 1.54
O 0.8702 0.3858 0.0468 (multiplicity 1)  1 P 1.55
O 0.9132 0.1770 0.8059 (multiplicity 1)  1 P 1.54
O 0.9653 0.9012 0.3788 (multiplicity 1)  1 P 1.58

=====

# Sr2MgZn2Sn2P4O16

A relaxed Sr2MgZn2Sn2P4O16 crystal (PBE, Materials Project).

Results
- magnetization (μB/f.u.) = 0.0
- ρ (g/cm³) = 3.91
- total energy (eV/atom) = -6.48
- E_form (eV/atom) = -2.5758

a b c (Å): 5.3617 7.3567 10.7714
angles (deg): 102.68 100.66 96.11
Last column: nearest neighbours and their distance in Å.
Space group P1 (No. 1)
One atom of each set of equivalent atoms:
Sr 0.0000 0.0000 0.0000 (multiplicity 1)  6 O 2.48-2.77
Sr 0.4452 0.5891 0.0693 (multiplicity 1)  5 O 2.48-2.76
Mg 0.6552 0.8340 0.3834 (multiplicity 1)  4 O 1.99-2.21
Zn 0.1928 0.3762 0.3125 (multiplicity 1)  3 O 1.91-2.04
Zn 0.2525 0.2401 0.7472 (multiplicity 1)  3 O 2.15-2.24
Sn 0.4831 0.1083 0.5595 (multiplicity 1)  2 O 2.28-2.39
Sn 0.8943 0.7004 0.6618 (multiplicity 1)  4 O 2.18-2.42
P 0.0457 0.7497 0.2749 (multiplicity 1)  4 O 1.54-1.60
P 0.4258 0.8379 0.8081 (multiplicity 1)  4 O 1.54-1.60
P 0.5769 0.1816 0.2631 (multiplicity 1)  4 O 1.53-1.61
P 0.8455 0.4151 0.8364 (multiplicity 1)  4 O 1.54-1.57
O 0.0434 0.7667 0.1349 (multiplicity 1)  1 P 1.54
O 0.0604 0.9307 0.3827 (multiplicity 1)  1 P 1.55
O 0.0817 0.3440 0.9094 (multiplicity 1)  1 P 1.56
O 0.1920 0.9546 0.7871 (multiplicity 1)  1 P 1.60
O 0.2832 0.6445 0.3163 (multiplicity 1)  1 P 1.60
O 0.3171 0.6415 0.7145 (multiplicity 1)  1 P 1.55
O 0.3722 0.2434 0.1620 (multiplicity 1)  1 P 1.57
O 0.4931 0.8451 0.9547 (multiplicity 1)  1 P 1.54
O 0.5115 0.2842 0.3992 (multiplicity 1)  1 P 1.61
O 0.5376 0.9681 0.2468 (multiplicity 1)  1 P 1.53
O 0.6059 0.3687 0.8898 (multiplicity 1)  1 P 1.54
O 0.6654 0.9308 0.7700 (multiplicity 1)  1 P 1.55
O 0.7898 0.6263 0.2739 (multiplicity 1)  1 P 1.56
O 0.8221 0.3208 0.6880 (multiplicity 1)  1 P 1.57
O 0.8512 0.2447 0.2482 (multiplicity 1)  1 P 1.54
O 0.9054 0.6329 0.8499 (multiplicity 1)  1 P 1.57

=====

# Sr2MgZn2Sn2P4O16

A relaxed Sr2MgZn2Sn2P4O16 crystal (PBE, Materials Project).

Results
- magnetization (μB/f.u.) = 0.0
- ρ (g/cm³) = 3.94
- total energy (eV/atom) = -6.44
- E_form (eV/atom) = -2.5373

a b c (Å): 5.5680 7.7547 10.0896
angles (deg): 67.50 82.57 88.29
Last column: nearest neighbours and their distance in Å.
Space group P1 (No. 1)
One atom of each set of equivalent atoms:
Sr 0.0000 0.0000 0.0000 (multiplicity 1)  5 O 2.50-2.77
Sr 0.4351 0.4411 0.8925 (multiplicity 1)  5 O 2.36-2.62
Mg 0.4378 0.2673 0.2297 (multiplicity 1)  4 O 2.08-2.11
Zn 0.1220 0.9318 0.6312 (multiplicity 1)  3 O 2.00-2.09
Zn 0.2125 0.5224 0.3707 (multiplicity 1)  3 O 2.02-2.08
Sn 0.6196 0.5180 0.4713 (multiplicity 1)  2 O 2.19-2.21
Sn 0.7515 0.8921 0.4728 (multiplicity 1)  3 O 2.30-2.44
P 0.4234 0.9272 0.2176 (multiplicity 1)  4 O 1.52-1.61
P 0.5714 0.0657 0.7303 (multiplicity 1)  4 O 1.52-1.60
P 0.9016 0.3792 0.1980 (multiplicity 1)  4 O 1.54-1.60
P 0.9947 0.5250 0.7112 (multiplicity 1)  4 O 1.54-1.58
O 0.0150 0.4909 0.5675 (multiplicity 1)  1 P 1.56
O 0.0172 0.3445 0.8449 (multiplicity 1)  1 P 1.54
O 0.1643 0.4306 0.1236 (multiplicity 1)  1 P 1.54
O 0.2006 0.8020 0.2337 (multiplicity 1)  1 P 1.55
O 0.2069 0.6615 0.7017 (multiplicity 1)  1 P 1.58
O 0.3985 0.1225 0.0941 (multiplicity 1)  1 P 1.57
O 0.3979 0.9673 0.8669 (multiplicity 1)  1 P 1.52
O 0.4091 0.9823 0.3568 (multiplicity 1)  1 P 1.61
O 0.4834 0.0160 0.6037 (multiplicity 1)  1 P 1.60
O 0.5568 0.2832 0.6841 (multiplicity 1)  1 P 1.57
O 0.6648 0.8380 0.1967 (multiplicity 1)  1 P 1.52
O 0.6954 0.4759 0.1096 (multiplicity 1)  1 P 1.54
O 0.7549 0.6248 0.7253 (multiplicity 1)  1 P 1.54
O 0.8411 0.0063 0.7495 (multiplicity 1)  1 P 1.57
O 0.8410 0.1680 0.2508 (multiplicity 1)  1 P 1.55
O 0.8980 0.4304 0.3379 (multiplicity 1)  1 P 1.60

=====

# Sr2MgZn2Sn2P4O16

A relaxed Sr2MgZn2Sn2P4O16 crystal (PBE, Materials Project).

Results
- magnetization (μB/f.u.) = 0.0
- ρ (g/cm³) = 3.78
- total energy (eV/atom) = -6.48
- E_form (eV/atom) = -2.5737

a b c (Å): 5.7644 8.2843 9.6230
angles (deg): 69.99 75.14 87.77
Last column: nearest neighbours and their distance in Å.
Space group P1 (No. 1)
One atom of each set of equivalent atoms:
Sr 0.0000 0.0000 0.0000 (multiplicity 1)  5 O 2.41-2.62
Sr 0.1877 0.4629 0.9693 (multiplicity 1)  6 O 2.41-2.63
Mg 0.5823 0.6565 0.0663 (multiplicity 1)  5 O 2.04-2.21
Zn 0.9655 0.0966 0.4313 (multiplicity 1)  2 O 2.04-2.08
Zn 0.9987 0.4704 0.6063 (multiplicity 1)  4 O 1.98-2.09
Sn 0.3603 0.0108 0.5082 (multiplicity 1)  2 O 2.12-2.19
Sn 0.5709 0.6759 0.4708 (multiplicity 1)  3 O 2.34-2.41
P 0.2652 0.7884 0.2492 (multiplicity 1)  4 O 1.53-1.60
P 0.4676 0.2510 0.7216 (multiplicity 1)  4 O 1.54-1.58
P 0.6768 0.3170 0.1866 (multiplicity 1)  4 O 1.53-1.62
P 0.7973 0.7433 0.7666 (multiplicity 1)  4 O 1.53-1.57
O 0.1136 0.9420 0.2568 (multiplicity 1)  1 P 1.53
O 0.2161 0.6375 0.4081 (multiplicity 1)  1 P 1.57
O 0.2329 0.7311 0.1172 (multiplicity 1)  1 P 1.55
O 0.3440 0.4142 0.6345 (multiplicity 1)  1 P 1.58
O 0.3644 0.2119 0.8943 (multiplicity 1)  1 P 1.54
O 0.3839 0.0917 0.6908 (multiplicity 1)  1 P 1.57
O 0.4236 0.3643 0.1698 (multiplicity 1)  1 P 1.53
O 0.5460 0.6505 0.8533 (multiplicity 1)  1 P 1.55
O 0.5496 0.8195 0.2102 (multiplicity 1)  1 P 1.60
O 0.6694 0.1844 0.3561 (multiplicity 1)  1 P 1.62
O 0.7456 0.2861 0.6660 (multiplicity 1)  1 P 1.56
O 0.7959 0.8797 0.6121 (multiplicity 1)  1 P 1.53
O 0.8094 0.4882 0.1644 (multiplicity 1)  1 P 1.56
O 0.8287 0.2386 0.0722 (multiplicity 1)  1 P 1.53
O 0.8598 0.8135 0.8850 (multiplicity 1)  1 P 1.56
O 0.9839 0.6060 0.7437 (multiplicity 1)  1 P 1.57